# TlPd5Se

A geometry-optimized TlPd5Se structure (r2SCAN, the Materials Project).

* total moment: 0.0 μB/f.u.
* uncorrected energy: -26.2903 eV/atom
* space group: No. 123
* calculated density: 11.43 g/cm³

The structure in extended XYZ format:
```
7
Lattice="4.072 0.000 0.000 0.000 4.072 0.000 0.000 0.000 7.146" Properties=species:S:1:pos:R:3 pbc="T T T"
Tl 0.000 0.000 0.000
Pd 0.000 2.036 2.029
Pd 0.000 2.036 5.117
Pd 2.036 0.000 2.029
Pd 2.036 0.000 5.117
Pd 2.036 2.036 0.000
Se 2.036 2.036 3.573
```